(1)
Li5Mn2Cu3O10 | PBE with a Hubbard U | relaxed

```
Li5Mn2Cu3O10
1.0
-0.6728 -1.3617 -4.8200
-9.2700 -4.9027 2.0691
-5.5074 5.0744 1.1379
Li Mn Cu O
10 4 6 20
direct
0.2501 0.2499 0.2501 Li
0.7501 0.7499 0.7501 Li
0.7620 0.4483 0.9456 Li
0.2620 0.9483 0.4457 Li
0.7381 0.0516 0.5549 Li
0.2382 0.5516 0.0549 Li
0.2593 0.1425 0.6465 Li
0.7593 0.6425 0.1465 Li
0.2412 0.3572 0.8537 Li
0.7412 0.8572 0.3537 Li
0.2648 0.8384 0.8548 Mn
0.2356 0.6608 0.6447 Mn
0.7647 0.3384 0.3547 Mn
0.7355 0.1608 0.1448 Mn
0.2506 0.7499 0.2502 Cu
0.7553 0.9438 0.9553 Cu
0.7462 0.5555 0.5451 Cu
0.7505 0.2499 0.7501 Cu
0.2553 0.4438 0.4553 Cu
0.2462 0.0555 0.0452 Cu
0.0487 0.0105 0.8260 O
0.5486 0.5105 0.3260 O
0.4494 0.4899 0.6753 O
0.9494 0.9900 0.1752 O
0.0081 0.3338 0.5954 O
0.5081 0.8337 0.0955 O
0.4908 0.1689 0.9022 O
0.9910 0.6690 0.4022 O
0.9639 0.1669 0.3791 O
0.4639 0.6669 0.8791 O
0.5361 0.3328 0.1212 O
0.0361 0.8328 0.6212 O
0.9525 0.2636 0.9818 O
0.4525 0.7636 0.4818 O
0.5493 0.2355 0.5189 O
0.0493 0.7356 0.0189 O
0.0091 0.4399 0.2230 O
0.5091 0.9399 0.7229 O
0.4890 0.0603 0.2762 O
0.9890 0.5603 0.7762 O
```

Values from the calculation:
- Calculated total energy: -228.5 eV/cell
- Formation energy from the elements: -34.80 eV/f.u.

(2)
CuMoO4 | PBE with a Hubbard U | relaxed

```
CuMoO4
1.0
6.8112 0.0000 0.0000
-1.6244 8.4137 0.0000
-2.8738 -1.6648 9.3369
Cu Mo O
6 6 24
direct
0.0329 0.1071 0.2582 Cu
0.2517 0.6992 0.9112 Cu
0.4530 0.3001 0.5128 Cu
0.5470 0.6999 0.4872 Cu
0.7483 0.3008 0.0888 Cu
0.9671 0.8929 0.7418 Cu
0.0023 0.7208 0.3907 Mo
0.3045 0.4116 0.1571 Mo
0.4949 0.9722 0.7506 Mo
0.5051 0.0278 0.2494 Mo
0.6955 0.5884 0.8429 Mo
0.9977 0.2792 0.6093 Mo
0.0111 0.1014 0.6908 O
0.0455 0.2730 0.1332 O
0.0964 0.4490 0.7454 O
0.1546 0.2919 0.4875 O
0.2481 0.8567 0.7745 O
0.2536 0.5692 0.0614 O
0.2734 0.7273 0.4933 O
0.3376 0.1493 0.3171 O
0.3434 0.9194 0.0833 O
0.4325 0.1144 0.6417 O
0.4416 0.4998 0.3418 O
0.4611 0.3029 0.0829 O
0.5389 0.6971 0.9171 O
0.5584 0.5002 0.6582 O
0.5675 0.8856 0.3583 O
0.6566 0.0806 0.9167 O
0.6624 0.8507 0.6829 O
0.7266 0.2727 0.5067 O
0.7464 0.4308 0.9386 O
0.7519 0.1433 0.2255 O
0.8454 0.7081 0.5125 O
0.9036 0.5510 0.2546 O
0.9545 0.7270 0.8668 O
0.9889 0.8986 0.3092 O
```

Values from the calculation:
- E above lowest polymorph: 6.7 meV/atom
- Calculated total energy: -229.3 eV/cell
- Formation energy from the elements: -9.42 eV/f.u.

(3)
K4MgV4O10 | PBE with a Hubbard U | relaxed

```
K4MgV4O10
1.0
4.3969 -7.2868 0.0000
4.3969 7.2868 0.0000
-4.2099 0.0000 4.5886
K Mg V O
4 1 4 10
direct
0.1287 0.8713 0.0000 K
0.3618 0.6672 0.9541 K
0.6672 0.3618 0.9541 K
0.8713 0.1287 0.0000 K
0.7731 0.7731 0.3660 Mg
0.1599 0.1599 0.6387 V
0.2545 0.7594 0.5137 V
0.4698 0.4698 0.3864 V
0.7594 0.2545 0.5137 V
0.0299 0.5258 0.4447 O
0.0610 0.8674 0.4269 O
0.2218 0.2218 0.9861 O
0.3226 0.3226 0.5734 O
0.4230 0.6607 0.5018 O
0.4550 0.9869 0.8867 O
0.5258 0.0299 0.4447 O
0.6607 0.4230 0.5018 O
0.8674 0.0610 0.4269 O
0.9869 0.4550 0.8867 O
```

Values from the calculation:
- E above lowest polymorph: 162.2 meV/atom
- Calculated total energy: -116.6 eV/cell
- Formation energy from the elements: -38.40 eV/f.u.